A relaxed structure of Sm2Cl2F. Source: Materials Project, functional PBE.

The structure in POSCAR format:
```
Sm2Cl2F
1.0
3.8966 0.0000 0.0000
0.0000 3.8966 0.0000
0.0000 0.0000 13.2524
Sm Cl F
2 2 1
Cartesian
0.0000 0.0000 2.2923
0.0000 0.0000 10.9601
0.0000 0.0000 4.7313
0.0000 0.0000 8.5211
0.0000 0.0000 0.0000
```

Results
For the formation energy, the calculation gives -1.621 eV per atom. The total magnetization comes out at 1.035 μB/f.u. As for the total energy: -4.538 eV per atom.